1.
Compound: P2Ir
Source: Materials Project
Functional: meta-GGA r2SCAN
Structure: optimized geometry

Mass density (g cm⁻³): 9.202
V (Å³/cell): 183

Cell: 5.772 5.807 5.872 Å, 90.00 111.25 90.00°
Sites, in units of the cell vectors:
P  0.158  0.118  0.370
P  0.158  0.382  0.870
P  0.334  0.623  0.689
P  0.334  0.877  0.189
P  0.666  0.123  0.811
P  0.666  0.377  0.311
P  0.842  0.618  0.130
P  0.842  0.882  0.630
Ir  0.272  0.501  0.292
Ir  0.272  0.999  0.792
Ir  0.728  0.001  0.208
Ir  0.728  0.499  0.708

2.
Compound: P3Ir
Source: Materials Project
Functional: meta-GGA r2SCAN
Structure: optimized geometry

Mass density (g cm⁻³): 7.278
V (Å³/cell): 260

Cell: 6.966 6.966 6.966 Å, 109.47 109.47 109.47°
Sites, in units of the cell vectors:
P  0.139  0.493  0.355
P  0.139  0.784  0.645
P  0.216  0.355  0.861
P  0.355  0.139  0.493
P  0.355  0.861  0.216
P  0.493  0.355  0.139
P  0.507  0.645  0.861
P  0.645  0.139  0.784
P  0.645  0.861  0.507
P  0.784  0.645  0.139
P  0.861  0.216  0.355
P  0.861  0.507  0.645
Ir  0.000  0.000  0.500
Ir  0.000  0.500  0.000
Ir  0.500  0.000  0.000
Ir  0.500  0.500  0.500

3.
Compound: PrPIr
Source: Materials Project
Functional: meta-GGA r2SCAN
Structure: optimized geometry

Mass density (g cm⁻³): 9.960
V (Å³/cell): 121

Cell: 7.669 7.669 7.669 Å, 148.69 148.69 44.87°
Sites, in units of the cell vectors:
Pr  0.000  0.000  0.000
Pr  0.750  0.250  0.500
P  0.329  0.829  0.500
P  0.579  0.579  0.000
Ir  0.161  0.661  0.500
Ir  0.411  0.411  0.000

4.
Compound: Si3P3Ir
Source: Materials Project
Functional: meta-GGA r2SCAN
Structure: optimized geometry

Mass density (g cm⁻³): 5.259
V (Å³/cell): 117

Cell: 4.905 4.924 5.488 Å, 108.77 108.02 95.27°
Sites, in units of the cell vectors:
Si  0.000  0.000  0.000
Si  0.125  0.560  0.797
Si  0.305  0.748  0.523
P  0.417  0.319  0.307
P  0.557  0.451  0.009
P  0.870  0.865  0.312
Ir  0.709  0.156  0.658

5.
Compound: Tm5P12Ir19
Source: Materials Project
Functional: meta-GGA r2SCAN
Structure: optimized geometry

Mass density (g cm⁻³): 14.865
V (Å³/cell): 544

Cell: 12.622 12.622 3.941 Å, 90.00 90.00 120.00°
Sites, in units of the cell vectors:
Tm  0.000  0.818  0.000
Tm  0.182  0.182  0.000
Tm  0.333  0.667  0.500
Tm  0.667  0.333  0.500
Tm  0.818  0.000  0.000
P  0.000  0.178  0.500
P  0.000  0.645  0.500
P  0.171  0.483  0.000
P  0.178  0.000  0.500
P  0.312  0.829  0.000
P  0.355  0.355  0.500
P  0.483  0.171  0.000
P  0.517  0.688  0.000
P  0.645  0.000  0.500
P  0.688  0.517  0.000
P  0.822  0.822  0.500
P  0.829  0.312  0.000
Ir  0.000  0.000  0.500
Ir  0.000  0.284  0.000
Ir  0.000  0.466  0.500
Ir  0.135  0.640  0.000
Ir  0.181  0.374  0.500
Ir  0.193  0.819  0.500
Ir  0.284  0.000  0.000
Ir  0.360  0.495  0.000
Ir  0.374  0.181  0.500
Ir  0.466  0.000  0.500
Ir  0.495  0.360  0.000
Ir  0.505  0.865  0.000
Ir  0.534  0.534  0.500
Ir  0.626  0.807  0.500
Ir  0.640  0.135  0.000
Ir  0.716  0.716  0.000
Ir  0.807  0.626  0.500
Ir  0.819  0.193  0.500
Ir  0.865  0.505  0.000

6.
Compound: PaIr3
Source: Materials Project
Functional: meta-GGA r2SCAN
Structure: optimized geometry

Mass density (g cm⁻³): 19.903
V (Å³/cell): 67

Cell: 4.069 4.069 4.069 Å, 90.00 90.00 90.00°
Sites, in units of the cell vectors:
Pa  0.000  0.000  0.000
Ir  0.000  0.500  0.500
Ir  0.500  0.000  0.500
Ir  0.500  0.500  0.000

7.
Compound: YbPaIr2
Source: Materials Project
Functional: meta-GGA r2SCAN
Structure: optimized geometry

Mass density (g cm⁻³): 16.390
V (Å³/cell): 80

Cell: 4.834 4.834 4.834 Å, 60.00 60.00 60.00°
Sites, in units of the cell vectors:
Yb  0.000  0.000  0.000
Pa  0.500  0.500  0.500
Ir  0.250  0.250  0.250
Ir  0.750  0.750  0.750

8.
Compound: PmPrIr2
Source: Materials Project
Functional: meta-GGA r2SCAN
Structure: optimized geometry

Mass density (g cm⁻³): 12.588
V (Å³/cell): 88

Cell: 5.001 5.001 5.001 Å, 60.00 60.00 60.00°
Sites, in units of the cell vectors:
Pm  0.000  0.000  0.000
Pr  0.500  0.500  0.500
Ir  0.250  0.250  0.250
Ir  0.750  0.750  0.750

9.
Compound: Pm2IrPt
Source: Materials Project
Functional: meta-GGA r2SCAN
Structure: optimized geometry

Mass density (g cm⁻³): 12.721
V (Å³/cell): 88

Cell: 5.001 5.001 5.001 Å, 60.00 60.00 60.00°
Sites, in units of the cell vectors:
Pm  0.250  0.250  0.250
Pm  0.750  0.750  0.750
Ir  0.000  0.000  0.000
Pt  0.500  0.500  0.500

10.
Compound: Pm2IrRh
Source: Materials Project
Functional: meta-GGA r2SCAN
Structure: optimized geometry

Mass density (g cm⁻³): 11.319
V (Å³/cell): 86

Cell: 4.951 4.951 4.951 Å, 60.00 60.00 60.00°
Sites, in units of the cell vectors:
Pm  0.250  0.250  0.250
Pm  0.750  0.750  0.750
Ir  0.000  0.000  0.000
Rh  0.500  0.500  0.500

11.
Compound: Pm2IrRu
Source: Materials Project
Functional: meta-GGA r2SCAN
Structure: optimized geometry

Mass density (g cm⁻³): 11.401
V (Å³/cell): 85

Cell: 4.934 4.934 4.934 Å, 60.00 60.00 60.00°
Sites, in units of the cell vectors:
Pm  0.250  0.250  0.250
Pm  0.750  0.750  0.750
Ir  0.000  0.000  0.000
Ru  0.500  0.500  0.500

12.
Compound: PmYIr2
Source: Materials Project
Functional: meta-GGA r2SCAN
Structure: optimized geometry

Mass density (g cm⁻³): 12.333
V (Å³/cell): 83

Cell: 4.901 4.901 4.901 Å, 60.00 60.00 60.00°
Sites, in units of the cell vectors:
Pm  0.000  0.000  0.000
Y  0.500  0.500  0.500
Ir  0.250  0.250  0.250
Ir  0.750  0.750  0.750

13.
Compound: Pr5Ir2
Source: Materials Project
Functional: meta-GGA r2SCAN
Structure: optimized geometry

Mass density (g cm⁻³): 8.711
V (Å³/cell): 415

Cell: 9.055 9.055 7.353 Å, 96.00 96.00 43.87°
Sites, in units of the cell vectors:
Pr  0.067  0.933  0.750
Pr  0.149  0.285  0.319
Pr  0.285  0.149  0.819
Pr  0.297  0.518  0.082
Pr  0.482  0.703  0.418
Pr  0.518  0.297  0.582
Pr  0.703  0.482  0.918
Pr  0.715  0.851  0.181
Pr  0.851  0.715  0.681
Pr  0.933  0.067  0.250
Ir  0.099  0.678  0.425
Ir  0.322  0.901  0.075
Ir  0.678  0.099  0.925
Ir  0.901  0.322  0.575

14.
Compound: PrIr2
Source: Materials Project
Functional: meta-GGA r2SCAN
Structure: optimized geometry

Mass density (g cm⁻³): 15.370
V (Å³/cell): 114

Cell: 5.435 5.435 5.435 Å, 60.00 60.00 60.00°
Sites, in units of the cell vectors:
Pr  0.125  0.125  0.125
Pr  0.875  0.875  0.875
Ir  0.000  0.500  0.500
Ir  0.500  0.000  0.500
Ir  0.500  0.500  0.000
Ir  0.500  0.500  0.500

15.
Compound: PrSiIr
Source: Materials Project
Functional: meta-GGA r2SCAN
Structure: optimized geometry

Mass density (g cm⁻³): 9.305
V (Å³/cell): 258

Cell: 6.365 6.365 6.365 Å, 90.00 90.00 90.00°
Sites, in units of the cell vectors:
Pr  0.126  0.374  0.626
Pr  0.374  0.626  0.126
Pr  0.626  0.126  0.374
Pr  0.874  0.874  0.874
Si  0.161  0.161  0.161
Si  0.339  0.839  0.661
Si  0.661  0.339  0.839
Si  0.839  0.661  0.339
Ir  0.070  0.930  0.430
Ir  0.430  0.070  0.930
Ir  0.570  0.570  0.570
Ir  0.930  0.430  0.070

16.
Compound: Pr3Sn13Ir4
Source: Materials Project
Functional: meta-GGA r2SCAN
Structure: optimized geometry

Mass density (g cm⁻³): 9.679
V (Å³/cell): 938

Cell: 9.790 9.790 9.790 Å, 90.00 90.00 90.00°
Sites, in units of the cell vectors:
Pr  0.000  0.250  0.500
Pr  0.000  0.750  0.500
Pr  0.250  0.500  0.000
Pr  0.500  0.000  0.250
Pr  0.500  0.000  0.750
Pr  0.750  0.500  0.000
Sn  0.000  0.000  0.000
Sn  0.000  0.306  0.152
Sn  0.000  0.306  0.848
Sn  0.000  0.694  0.152
Sn  0.000  0.694  0.848
Sn  0.152  0.000  0.306
Sn  0.152  0.000  0.694
Sn  0.194  0.500  0.348
Sn  0.194  0.500  0.652
Sn  0.306  0.152  0.000
Sn  0.306  0.848  0.000
Sn  0.348  0.194  0.500
Sn  0.348  0.806  0.500
Sn  0.500  0.348  0.194
Sn  0.500  0.348  0.806
Sn  0.500  0.500  0.500
Sn  0.500  0.652  0.194
Sn  0.500  0.652  0.806
Sn  0.652  0.194  0.500
Sn  0.652  0.806  0.500
Sn  0.694  0.152  0.000
Sn  0.694  0.848  0.000
Sn  0.806  0.500  0.348
Sn  0.806  0.500  0.652
Sn  0.848  0.000  0.306
Sn  0.848  0.000  0.694
Ir  0.250  0.250  0.250
Ir  0.250  0.250  0.750
Ir  0.250  0.750  0.250
Ir  0.250  0.750  0.750
Ir  0.750  0.250  0.250
Ir  0.750  0.250  0.750
Ir  0.750  0.750  0.250
Ir  0.750  0.750  0.750

17.
Compound: PrSnIr
Source: Materials Project
Functional: meta-GGA r2SCAN
Structure: optimized geometry

Mass density (g cm⁻³): 11.041
V (Å³/cell): 204

Cell: 7.475 7.475 4.213 Å, 90.00 90.00 120.00°
Sites, in units of the cell vectors:
Pr  0.000  0.587  0.000
Pr  0.413  0.413  0.000
Pr  0.587  0.000  0.000
Sn  0.000  0.249  0.500
Sn  0.249  0.000  0.500
Sn  0.751  0.751  0.500
Ir  0.000  0.000  0.000
Ir  0.333  0.667  0.500
Ir  0.667  0.333  0.500

18.
Compound: ReIr3
Source: Materials Project
Functional: meta-GGA r2SCAN
Structure: optimized geometry

Mass density (g cm⁻³): 22.069
V (Å³/cell): 115

Cell: 5.503 5.503 4.378 Å, 90.00 90.00 120.00°
Sites, in units of the cell vectors:
Re  0.333  0.667  0.250
Re  0.667  0.333  0.750
Ir  0.167  0.334  0.750
Ir  0.167  0.833  0.750
Ir  0.334  0.167  0.250
Ir  0.666  0.833  0.750
Ir  0.833  0.167  0.250
Ir  0.833  0.666  0.250

19.
Compound: Sm2IrRh
Source: Materials Project
Functional: meta-GGA r2SCAN
Structure: optimized geometry

Mass density (g cm⁻³): 11.709
V (Å³/cell): 85

Cell: 4.926 4.926 4.926 Å, 60.00 60.00 60.00°
Sites, in units of the cell vectors:
Sm  0.250  0.250  0.250
Sm  0.750  0.750  0.750
Ir  0.000  0.000  0.000
Rh  0.500  0.500  0.500

20.
Compound: Tb2IrRh
Source: Materials Project
Functional: meta-GGA r2SCAN
Structure: optimized geometry

Mass density (g cm⁻³): 12.700
V (Å³/cell): 80

Cell: 4.839 4.839 4.839 Å, 60.00 60.00 60.00°
Sites, in units of the cell vectors:
Tb  0.250  0.250  0.250
Tb  0.750  0.750  0.750
Ir  0.000  0.000  0.000
Rh  0.500  0.500  0.500

Number 1: raw total energy -24.273 eV per atom. Number 2: raw total energy -20.575 eV per atom. Number 3: raw total energy -31.524 eV per atom. Number 4: raw total energy -15.513 eV per atom. Number 5: raw total energy -36.394 eV per atom. Number 6: raw total energy -59.408 eV per atom. Number 7: raw total energy -55.383 eV per atom. Number 8: raw total energy -41.556 eV per atom. Number 9: raw total energy -41.696 eV per atom. Number 10: raw total energy -34.644 eV per atom. Number 11: raw total energy -34.672 eV per atom. Number 12: raw total energy -39.434 eV per atom. Number 13: raw total energy -36.510 eV per atom. Number 14: raw total energy -45.466 eV per atom. Number 15: raw total energy -31.242 eV per atom. Number 16: raw total energy -31.508 eV per atom. Number 17: raw total energy -36.355 eV per atom. Number 18: raw total energy -52.508 eV per atom. Number 19: raw total energy -34.771 eV per atom. Number 20: raw total energy -35.671 eV per atom.